No. 1
The following is a meta-GGA r2SCAN calculation of a relaxed structure of Sm3S3N, from Materials Project.

## Properties
crystal system: orthorhombic
E: -19.740 eV/atom
mass density: 5.95 Mg/m³
DFT formation energy: -15.748 eV/f.u.

```
data_Sm3S3N
_chemical_formula_sum 'Sm12 S12 N4'
_cell_length_a 3.9481
_cell_length_b 12.1763
_cell_length_c 13.0251
_cell_angle_alpha 90.00
_cell_angle_beta 90.00
_cell_angle_gamma 90.00
_space_group_name_H-M_alt 'P 1'
_space_group_IT_number 1
_space_group_name_Hall 'P 1'
loop_
_atom_site_label
_atom_site_type_symbol
_atom_site_fract_x
_atom_site_fract_y
_atom_site_fract_z
S1 S 0.7500 0.2261 0.3067
S2 S 0.7500 0.7261 0.1933
S3 S 0.7500 0.6346 0.4928
S4 S 0.2500 0.8654 0.9928
S5 S 0.2500 0.2739 0.8067
S6 S 0.2500 0.3654 0.5072
S7 S 0.7500 0.9115 0.3951
S8 S 0.7500 0.1346 0.0072
S9 S 0.2500 0.0885 0.6049
S10 S 0.2500 0.5885 0.8951
S11 S 0.7500 0.4115 0.1049
S12 S 0.2500 0.7739 0.6933
N1 N 0.7500 0.4599 0.7018
N2 N 0.7500 0.9599 0.7982
N3 N 0.2500 0.0401 0.2018
N4 N 0.2500 0.5401 0.2982
Sm1 Sm 0.2500 0.0453 0.8535
Sm2 Sm 0.2500 0.2155 0.1368
Sm3 Sm 0.7500 0.9267 0.6300
Sm4 Sm 0.7500 0.7845 0.8632
Sm5 Sm 0.2500 0.0733 0.3700
Sm6 Sm 0.7500 0.2845 0.6368
Sm7 Sm 0.2500 0.5733 0.1300
Sm8 Sm 0.7500 0.4267 0.8700
Sm9 Sm 0.7500 0.4547 0.3535
Sm10 Sm 0.7500 0.9547 0.1465
Sm11 Sm 0.2500 0.5453 0.6465
Sm12 Sm 0.2500 0.7155 0.3632
```

---

No. 2
The following is a meta-GGA r2SCAN calculation of a relaxed structure of Tm2RuRh, from Materials Project.

## Properties
crystal system: cubic
E: -30.729 eV/atom
mass density: 12.09 Mg/m³
DFT formation energy: -3.112 eV/f.u.

```
data_Tm2RuRh
_chemical_formula_sum 'Tm2 Ru1 Rh1'
_cell_length_a 4.7213
_cell_length_b 4.7213
_cell_length_c 4.7213
_cell_angle_alpha 60.00
_cell_angle_beta 60.00
_cell_angle_gamma 60.00
_space_group_name_H-M_alt 'P 1'
_space_group_IT_number 1
_space_group_name_Hall 'P 1'
loop_
_atom_site_label
_atom_site_type_symbol
_atom_site_fract_x
_atom_site_fract_y
_atom_site_fract_z
Rh1 Rh 0.2500 0.2500 0.2500
Tm1 Tm 0.5000 0.5000 0.5000
Tm2 Tm 0.0000 0.0000 0.0000
Ru1 Ru 0.7500 0.7500 0.7500
```

---

No. 3
The following is a meta-GGA r2SCAN calculation of a relaxed structure of Cu, from Materials Project.

## Properties
crystal system: hexagonal
E: -10.834 eV/atom
energy relative to the lowest polymorph listed for this composition: 12 meV/atom
mass density: 9.23 Mg/m³
DFT formation energy: 0.012 eV/f.u.

```
data_Cu
_chemical_formula_sum 'Cu2'
_cell_length_a 2.5341
_cell_length_b 2.5341
_cell_length_c 4.1126
_cell_angle_alpha 90.00
_cell_angle_beta 90.00
_cell_angle_gamma 120.00
_space_group_name_H-M_alt 'P 1'
_space_group_IT_number 1
_space_group_name_Hall 'P 1'
loop_
_atom_site_label
_atom_site_type_symbol
_atom_site_fract_x
_atom_site_fract_y
_atom_site_fract_z
Cu1 Cu 0.3333 0.6667 0.2500
Cu2 Cu 0.6667 0.3333 0.7500
```

---

No. 4
The following is a meta-GGA r2SCAN calculation of a relaxed structure of Cr3NiP4, from Materials Project.

## Properties
crystal system: monoclinic
E: -12.119 eV/atom
mass density: 5.71 Mg/m³
DFT formation energy: -3.743 eV/f.u.

```
data_Cr3NiP4
_chemical_formula_sum 'Cr3 Ni1 P4'
_cell_length_a 3.0924
_cell_length_b 5.3177
_cell_length_c 5.9901
_cell_angle_alpha 89.85
_cell_angle_beta 90.00
_cell_angle_gamma 90.00
_space_group_name_H-M_alt 'P 1'
_space_group_IT_number 1
_space_group_name_Hall 'P 1'
loop_
_atom_site_label
_atom_site_type_symbol
_atom_site_fract_x
_atom_site_fract_y
_atom_site_fract_z
P1 P 0.5000 0.3045 0.9295
P2 P 0.0000 0.6981 0.0667
P3 P 0.0000 0.1870 0.4401
P4 P 0.5000 0.8070 0.5693
Cr1 Cr 0.0000 0.0081 0.8047
Cr2 Cr 0.5000 0.9951 0.2028
Cr3 Cr 0.5000 0.4942 0.2897
Ni1 Ni 0.0000 0.5059 0.6971
```

---

No. 5
The following is a meta-GGA r2SCAN calculation of a relaxed structure of NdInAu2, from Materials Project.

## Properties
crystal system: cubic
E: -39.063 eV/atom
mass density: 12.17 Mg/m³
DFT formation energy: -3.087 eV/f.u.

```
data_NdInAu2
_chemical_formula_sum 'Nd1 In1 Au2'
_cell_length_a 5.0130
_cell_length_b 5.0130
_cell_length_c 5.0130
_cell_angle_alpha 60.00
_cell_angle_beta 60.00
_cell_angle_gamma 60.00
_space_group_name_H-M_alt 'P 1'
_space_group_IT_number 1
_space_group_name_Hall 'P 1'
loop_
_atom_site_label
_atom_site_type_symbol
_atom_site_fract_x
_atom_site_fract_y
_atom_site_fract_z
Nd1 Nd 0.5000 0.5000 0.5000
Au1 Au 0.7500 0.7500 0.7500
Au2 Au 0.2500 0.2500 0.2500
In1 In 0.0000 0.0000 0.0000
```

---

No. 6
The following is a meta-GGA r2SCAN calculation of a relaxed structure of K2H4Pt, from Materials Project.

## Properties
crystal system: tetragonal
E: -11.539 eV/atom
mass density: 3.65 Mg/m³
DFT formation energy: -3.431 eV/f.u.

```
data_K2H4Pt
_chemical_formula_sum 'K4 H8 Pt2'
_cell_length_a 5.5779
_cell_length_b 5.5779
_cell_length_c 8.1116
_cell_angle_alpha 90.00
_cell_angle_beta 90.00
_cell_angle_gamma 90.00
_space_group_name_H-M_alt 'P 1'
_space_group_IT_number 1
_space_group_name_Hall 'P 1'
loop_
_atom_site_label
_atom_site_type_symbol
_atom_site_fract_x
_atom_site_fract_y
_atom_site_fract_z
Pt1 Pt 0.5000 0.5000 0.5000
Pt2 Pt 0.0000 0.0000 0.0000
H1 H 0.7908 0.7908 0.0000
H2 H 0.5000 0.5000 0.2967
H3 H 0.5000 0.5000 0.7033
H4 H 0.2092 0.2092 0.0000
H5 H 0.7092 0.2908 0.5000
H6 H 0.2908 0.7092 0.5000
H7 H 0.0000 0.0000 0.7967
H8 H 0.0000 0.0000 0.2033
K1 K 0.0000 0.5000 0.2500
K2 K 0.0000 0.5000 0.7500
K3 K 0.5000 0.0000 0.7500
K4 K 0.5000 0.0000 0.2500
```

---

No. 7
The following is a meta-GGA r2SCAN calculation of a relaxed structure of Sm5Mg, from Materials Project.

## Properties
crystal system: trigonal
E: -25.477 eV/atom
mass density: 6.76 Mg/m³
DFT formation energy: -0.027 eV/f.u.

```
data_Sm5Mg
_chemical_formula_sum 'Sm5 Mg1'
_cell_length_a 6.2680
_cell_length_b 6.2682
_cell_length_c 6.6732
_cell_angle_alpha 118.02
_cell_angle_beta 61.98
_cell_angle_gamma 120.02
_space_group_name_H-M_alt 'P 1'
_space_group_IT_number 1
_space_group_name_Hall 'P 1'
loop_
_atom_site_label
_atom_site_type_symbol
_atom_site_fract_x
_atom_site_fract_y
_atom_site_fract_z
Sm1 Sm 0.7089 0.3756 0.0000
Sm2 Sm 0.9574 0.0001 0.0002
Sm3 Sm 0.3334 0.6240 0.9998
Sm4 Sm 0.4884 0.8450 0.5345
Sm5 Sm 0.1784 0.1551 0.4655
Mg1 Mg 0.8335 0.5002 0.5000
```

---

No. 8
The following is a meta-GGA r2SCAN calculation of a relaxed structure of Sc2CrB6, from Materials Project.

## Properties
crystal system: orthorhombic
E: -9.881 eV/atom
mass density: 4.08 Mg/m³
DFT formation energy: -6.978 eV/f.u.

```
data_Sc2CrB6
_chemical_formula_sum 'Sc8 Cr4 B24'
_cell_length_a 3.3849
_cell_length_b 8.8977
_cell_length_c 11.1772
_cell_angle_alpha 90.00
_cell_angle_beta 90.00
_cell_angle_gamma 90.00
_space_group_name_H-M_alt 'P 1'
_space_group_IT_number 1
_space_group_name_Hall 'P 1'
loop_
_atom_site_label
_atom_site_type_symbol
_atom_site_fract_x
_atom_site_fract_y
_atom_site_fract_z
B1 B 0.5000 0.5992 0.0272
B2 B 0.5000 0.0536 0.0654
B3 B 0.5000 0.7944 0.2629
B4 B 0.5000 0.9464 0.9346
B5 B 0.5000 0.1308 0.3173
B6 B 0.5000 0.7516 0.4204
B7 B 0.5000 0.2484 0.5796
B8 B 0.5000 0.8692 0.6827
B9 B 0.5000 0.9008 0.5272
B10 B 0.5000 0.2516 0.0796
B11 B 0.5000 0.5536 0.4346
B12 B 0.5000 0.4464 0.5654
B13 B 0.5000 0.2056 0.7371
B14 B 0.5000 0.6308 0.1827
B15 B 0.5000 0.9806 0.2116
B16 B 0.5000 0.4008 0.9728
B17 B 0.5000 0.7056 0.7629
B18 B 0.5000 0.5194 0.7116
B19 B 0.5000 0.4806 0.2884
B20 B 0.5000 0.0194 0.7884
B21 B 0.5000 0.2944 0.2371
B22 B 0.5000 0.7484 0.9204
B23 B 0.5000 0.3692 0.8173
B24 B 0.5000 0.0992 0.4728
Cr1 Cr 0.0000 0.3594 0.6804
Cr2 Cr 0.0000 0.6406 0.3196
Cr3 Cr 0.0000 0.1406 0.1804
Cr4 Cr 0.0000 0.8594 0.8196
Sc1 Sc 0.0000 0.1776 0.9146
Sc2 Sc 0.0000 0.9429 0.3696
Sc3 Sc 0.0000 0.4429 0.1304
Sc4 Sc 0.0000 0.6776 0.5854
Sc5 Sc 0.0000 0.8224 0.0854
Sc6 Sc 0.0000 0.5571 0.8696
Sc7 Sc 0.0000 0.0571 0.6304
Sc8 Sc 0.0000 0.3224 0.4146
```

---

No. 9
The following is a meta-GGA r2SCAN calculation of a relaxed structure of Dy5SbPd2, from Materials Project.

## Properties
crystal system: tetragonal
E: -29.790 eV/atom
mass density: 9.38 Mg/m³
DFT formation energy: -6.784 eV/f.u.

```
data_Dy5SbPd2
_chemical_formula_sum 'Dy10 Sb2 Pd4'
_cell_length_a 8.7152
_cell_length_b 8.7152
_cell_length_c 8.7152
_cell_angle_alpha 127.31
_cell_angle_beta 127.31
_cell_angle_gamma 77.74
_space_group_name_H-M_alt 'P 1'
_space_group_IT_number 1
_space_group_name_Hall 'P 1'
loop_
_atom_site_label
_atom_site_type_symbol
_atom_site_fract_x
_atom_site_fract_y
_atom_site_fract_z
Sb1 Sb 0.2500 0.2500 0.0000
Sb2 Sb 0.7500 0.7500 0.0000
Dy1 Dy 0.2022 0.7022 0.1886
Dy2 Dy 0.0136 0.2022 0.5000
Dy3 Dy 0.2978 0.4864 0.5000
Dy4 Dy 0.4864 0.9864 0.1886
Dy5 Dy 0.5136 0.0136 0.8114
Dy6 Dy 0.7022 0.5136 0.5000
Dy7 Dy 0.7978 0.2978 0.8114
Dy8 Dy 0.0000 0.0000 0.0000
Dy9 Dy 0.5000 0.5000 0.0000
Dy10 Dy 0.9864 0.7978 0.5000
Pd1 Pd 0.1362 0.6362 0.7725
Pd2 Pd 0.8638 0.3638 0.2275
Pd3 Pd 0.3638 0.1362 0.5000
Pd4 Pd 0.6362 0.8638 0.5000
```